Compound: ZnPb2N2
Source: the Materials Project database
Functional: GGA-PBE
Structure: relaxed

Computed properties:
**Offset from the most stable computed form**: 0.53 kcal/mol of atoms
**Space group**: No. 59
**Formation energy from the elements**: 230 meV/atom
**Magnetic moment**: 0.00 μB/f.u.

POSCAR file:
```
ZnPb2N2
1.0
0.000 -3.647 0.000
-6.608 0.000 0.000
0.000 0.000 -11.482
Zn Pb N
2 4 4
Direct
0.750 0.382 0.750
0.250 0.618 0.250
0.750 0.731 0.986
0.750 0.731 0.514
0.250 0.269 0.014
0.250 0.269 0.486
0.750 0.397 0.591
0.750 0.397 0.909
0.250 0.603 0.409
0.250 0.603 0.091
```